# Sr2Ga2O5, optimized geometry, DFT PBE
data_Sr2Ga2O5
_chemical_formula_sum 'Sr16 Ga16 O40'
_cell_length_a 9.729
_cell_length_b 10.115
_cell_length_c 10.812
_cell_angle_alpha 90.00
_cell_angle_beta 90.00
_cell_angle_gamma 90.00
_space_group_name_H-M_alt 'P 1'
_space_group_IT_number 1
_space_group_name_Hall 'P 1'
loop_
_atom_site_label
_atom_site_type_symbol
_atom_site_fract_x
_atom_site_fract_y
_atom_site_fract_z
Sr1 Sr 0.996 0.497 0.255
Sr2 Sr 0.504 0.997 0.745
Sr3 Sr 0.496 0.503 0.245
Sr4 Sr 0.004 0.003 0.755
Sr5 Sr 0.004 0.503 0.745
Sr6 Sr 0.496 0.003 0.255
Sr7 Sr 0.504 0.497 0.755
Sr8 Sr 0.996 0.997 0.245
Sr9 Sr 0.751 0.254 0.274
Sr10 Sr 0.749 0.754 0.726
Sr11 Sr 0.251 0.746 0.226
Sr12 Sr 0.249 0.246 0.774
Sr13 Sr 0.249 0.746 0.726
Sr14 Sr 0.251 0.246 0.274
Sr15 Sr 0.749 0.254 0.774
Sr16 Sr 0.751 0.754 0.226
Ga1 Ga 0.733 0.533 0.494
Ga2 Ga 0.767 0.033 0.506
Ga3 Ga 0.233 0.467 0.006
Ga4 Ga 0.267 0.967 0.994
Ga5 Ga 0.267 0.467 0.506
Ga6 Ga 0.233 0.967 0.494
Ga7 Ga 0.767 0.533 0.994
Ga8 Ga 0.733 0.033 0.006
Ga9 Ga 0.961 0.766 0.469
Ga10 Ga 0.539 0.266 0.531
Ga11 Ga 0.461 0.234 0.031
Ga12 Ga 0.039 0.734 0.969
Ga13 Ga 0.039 0.234 0.531
Ga14 Ga 0.461 0.734 0.469
Ga15 Ga 0.539 0.766 0.969
Ga16 Ga 0.961 0.266 0.031
O1 O 0.009 0.737 0.306
O2 O 0.491 0.237 0.694
O3 O 0.509 0.263 0.194
O4 O 0.991 0.763 0.806
O5 O 0.991 0.263 0.694
O6 O 0.509 0.763 0.306
O7 O 0.491 0.737 0.806
O8 O 0.009 0.237 0.194
O9 O 0.892 0.619 0.559
O10 O 0.608 0.119 0.441
O11 O 0.392 0.381 0.941
O12 O 0.108 0.881 0.059
O13 O 0.108 0.381 0.441
O14 O 0.392 0.881 0.559
O15 O 0.608 0.619 0.059
O16 O 0.892 0.119 0.941
O17 O 0.744 0.513 0.324
O18 O 0.756 0.013 0.676
O19 O 0.244 0.487 0.176
O20 O 0.256 0.987 0.824
O21 O 0.256 0.487 0.676
O22 O 0.244 0.987 0.324
O23 O 0.756 0.513 0.824
O24 O 0.744 0.013 0.176
O25 O 0.589 0.638 0.563
O26 O 0.911 0.138 0.437
O27 O 0.089 0.362 0.937
O28 O 0.411 0.862 0.063
O29 O 0.411 0.362 0.437
O30 O 0.089 0.862 0.563
O31 O 0.911 0.638 0.063
O32 O 0.589 0.138 0.937
O33 O 0.699 0.369 0.565
O34 O 0.801 0.869 0.435
O35 O 0.199 0.631 0.935
O36 O 0.301 0.131 0.065
O37 O 0.301 0.631 0.435
O38 O 0.199 0.131 0.565
O39 O 0.801 0.369 0.065
O40 O 0.699 0.869 0.935
# - DFT formation energy: -2.75 eV per atom
# - Theoretical density: 4927 kg/m³
# - Total moment: 0.00 μB per formula unit
# - Crystal system: orthorhombic